# KGaH4

A geometry-optimized KGaH4 structure (r²SCAN, the Materials Project).

POSCAR file:
```
KGaH4
1.0
8.9747 0.0000 0.0000
0.0000 5.5091 0.0000
0.0000 0.0000 7.2293
K Ga H
4 4 16
direct
0.1824 0.2500 0.1582
0.3176 0.7500 0.6582
0.6824 0.2500 0.3418
0.8176 0.7500 0.8418
0.0620 0.2500 0.6897
0.4380 0.7500 0.1897
0.5619 0.2500 0.8103
0.9380 0.7500 0.3103
0.0831 0.0166 0.8177
0.0831 0.4834 0.8177
0.1007 0.7500 0.3931
0.1891 0.2500 0.5378
0.3109 0.7500 0.0378
0.3993 0.2500 0.8931
0.4169 0.5166 0.3177
0.4169 0.9834 0.3177
0.5831 0.0166 0.6823
0.5831 0.4834 0.6823
0.6007 0.7500 0.1069
0.6891 0.2500 0.9622
0.8109 0.7500 0.4622
0.8993 0.2500 0.6069
0.9169 0.5166 0.1823
0.9169 0.9834 0.1823
```

Output
Spin magnetization = 0.000 Bohr magnetons per cell
Total energy = -131.2 eV for the cell shown